Entry 1:
A plane-wave DFT calculation with PBE with a Hubbard U was carried out for an optimized crystal structure of LiFeP2O7.

Unit cell a=5.161 b=8.143 c=13.667 alpha=69.98 beta=90.00 gamma=90.00
Sites, in units of the cell vectors:
Li1 0.507 0.429 0.825
Li2 0.923 0.975 0.164
Li3 0.077 0.975 0.664
Li4 0.493 0.429 0.325
Fe1 0.015 0.729 0.367
Fe2 0.985 0.729 0.867
Fe3 0.507 0.269 0.145
Fe4 0.493 0.269 0.645
P1 0.457 0.821 0.200
P2 0.014 0.301 0.981
P3 0.521 0.696 0.520
P4 0.543 0.821 0.700
P5 0.985 0.178 0.304
P6 0.986 0.301 0.481
P7 0.479 0.696 0.020
P8 0.015 0.178 0.804
O1 0.973 0.156 0.925
O2 0.273 0.276 0.771
O3 0.781 0.281 0.744
O4 0.443 0.520 0.597
O5 0.305 0.307 0.004
O6 0.805 0.702 0.487
O7 0.901 0.471 0.905
O8 0.340 0.769 0.427
O9 0.500 0.011 0.192
O10 0.346 0.695 0.771
O11 0.968 0.992 0.302
O12 0.827 0.764 0.724
O13 0.491 0.834 0.581
O14 0.856 0.222 0.081
O15 0.660 0.769 0.927
O16 0.027 0.156 0.425
O17 0.727 0.276 0.271
O18 0.500 0.011 0.692
O19 0.219 0.281 0.244
O20 0.032 0.992 0.802
O21 0.144 0.222 0.581
O22 0.557 0.520 0.097
O23 0.695 0.307 0.504
O24 0.195 0.702 0.987
O25 0.099 0.471 0.405
O26 0.654 0.695 0.271
O27 0.173 0.764 0.224
O28 0.509 0.834 0.081

Computed properties:
For the formation energy, the calculation gives -2.481 eV/atom. The value obtained for the energy is -304.268 eV per cell.

Entry 2:
A plane-wave DFT calculation with PBE with a Hubbard U was carried out for an optimized crystal structure of Li5Fe4P8O28.

Unit cell a=9.706 b=9.765 c=11.121 alpha=101.80 beta=89.98 gamma=90.20
Sites, in units of the cell vectors:
Li1 0.568 0.162 0.532
Li2 0.098 0.343 0.958
Li3 0.407 0.419 0.978
Li4 0.079 0.336 0.463
Li5 0.953 0.620 0.504
Li6 0.420 0.847 0.964
Li7 0.877 0.654 0.036
Li8 0.096 0.920 0.976
Li9 0.403 0.819 0.448
Li10 0.715 0.881 0.543
Fe1 0.078 0.196 0.668
Fe2 0.785 0.246 0.827
Fe3 0.284 0.245 0.181
Fe4 0.580 0.301 0.321
Fe5 0.424 0.696 0.673
Fe6 0.716 0.751 0.830
Fe7 0.220 0.745 0.175
Fe8 0.925 0.803 0.319
P1 0.549 0.020 0.753
P2 0.291 0.116 0.887
P3 0.080 0.073 0.246
P4 0.853 0.125 0.421
P5 0.356 0.375 0.579
P6 0.579 0.430 0.762
P7 0.953 0.516 0.753
P8 0.787 0.388 0.113
P9 0.208 0.616 0.886
P10 0.045 0.480 0.249
P11 0.419 0.567 0.242
P12 0.646 0.622 0.418
P13 0.145 0.874 0.577
P14 0.921 0.931 0.760
P15 0.713 0.902 0.114
P16 0.451 0.982 0.248
O1 0.577 0.018 0.619
O2 0.157 0.028 0.570
O3 0.916 0.086 0.737
O4 0.409 0.109 0.785
O5 0.657 0.097 0.842
O6 0.168 0.180 0.830
O7 0.336 0.225 0.004
O8 0.753 0.041 0.095
O9 0.929 0.128 0.293
O10 0.103 0.084 0.113
O11 0.457 0.139 0.228
O12 0.710 0.187 0.409
O13 0.182 0.182 0.320
O14 0.944 0.210 0.522
O15 0.442 0.289 0.476
O16 0.690 0.326 0.697
O17 0.211 0.316 0.593
O18 0.972 0.362 0.778
O19 0.432 0.366 0.705
O20 0.579 0.420 0.895
O21 0.232 0.475 0.916
O22 0.849 0.294 0.993
O23 0.668 0.318 0.169
O24 0.906 0.392 0.216
O25 0.412 0.412 0.265
O26 0.152 0.397 0.159
O27 0.656 0.470 0.429
O28 0.917 0.517 0.623
O29 0.067 0.485 0.383
O30 0.346 0.529 0.572
O31 0.860 0.596 0.855
O32 0.586 0.579 0.732
O33 0.102 0.593 0.773
O34 0.335 0.683 0.834
O35 0.145 0.723 0.995
O36 0.763 0.533 0.097
O37 0.405 0.576 0.110
O38 0.570 0.624 0.290
O39 0.028 0.629 0.219
O40 0.789 0.690 0.409
O41 0.316 0.669 0.320
O42 0.562 0.717 0.519
O43 0.057 0.789 0.474
O44 0.808 0.839 0.687
O45 0.288 0.812 0.593
O46 0.524 0.870 0.778
O47 0.923 0.917 0.891
O48 0.068 0.871 0.705
O49 0.271 0.972 0.911
O50 0.643 0.801 0.004
O51 0.831 0.818 0.167
O52 0.360 0.900 0.145
O53 0.603 0.917 0.228
O54 0.086 0.922 0.268
O55 0.839 0.970 0.431
O56 0.416 0.976 0.378

Computed properties:
For the formation energy, the calculation gives -2.475 eV/atom. The value obtained for the energy is -616.742 eV per cell.

Entry 3:
A plane-wave DFT calculation with PBE with a Hubbard U was carried out for an optimized crystal structure of LiFePO4.

Unit cell a=5.162 b=10.595 c=8.999 alpha=112.68 beta=89.57 gamma=100.95
Sites, in units of the cell vectors:
Li1 0.118 0.236 0.121
Li2 0.618 0.236 0.621
Li3 0.874 0.735 0.859
Li4 0.374 0.735 0.359
Fe1 0.566 0.119 0.237
Fe2 0.825 0.617 0.141
Fe3 0.067 0.118 0.736
Fe4 0.325 0.617 0.641
P1 0.882 0.760 0.540
P2 0.383 0.760 0.040
P3 0.123 0.261 0.469
P4 0.624 0.261 0.969
O1 0.718 0.699 0.653
O2 0.218 0.699 0.153
O3 0.722 0.709 0.375
O4 0.223 0.710 0.875
O5 0.936 0.920 0.619
O6 0.441 0.920 0.120
O7 0.820 0.198 0.437
O8 0.320 0.198 0.936
O9 0.146 0.706 0.512
O10 0.645 0.704 0.011
O11 0.161 0.420 0.558
O12 0.662 0.420 0.057
O13 0.248 0.198 0.575
O14 0.748 0.197 0.075
O15 0.256 0.223 0.306
O16 0.755 0.221 0.805

Computed properties:
For the formation energy, the calculation gives -2.430 eV/atom. The value obtained for the energy is -190.347 eV per cell.

no.,total magnetic moment (μB/cell),distance to the lowest polymorph of the same formula (meV per atom)
1,20.00,45.2
2,38.00,16.0
3,0.00,50.7